## w
A plane-wave DFT calculation with PBE+U was carried out for a relaxed structure of FePH5CO4.

Cell and atoms, written as CIF:
```
data_FePH5CO4
_chemical_formula_sum 'Fe4 P4 H20 C4 O16'
_cell_length_a 4.846
_cell_length_b 10.755
_cell_length_c 10.757
_cell_angle_alpha 114.58
_cell_angle_beta 90.71
_cell_angle_gamma 90.84
_space_group_name_H-M_alt 'P 1'
_space_group_IT_number 1
loop_
_space_group_symop_operation_xyz
'x,y,z'
loop_
_atom_site_label
_atom_site_type_symbol
_atom_site_fract_x
_atom_site_fract_y
_atom_site_fract_z
Fe1 Fe 0.000 0.000 0.000
Fe2 Fe 0.006 0.500 0.500
Fe3 Fe 0.499 0.223 0.276
Fe4 Fe 0.505 0.724 0.775
P1 P 0.436 0.890 0.105
P2 P 0.444 0.391 0.607
P3 P 0.935 0.331 0.169
P4 P 0.941 0.831 0.668
H1 H 0.139 0.786 0.213
H2 H 0.143 0.285 0.711
H3 H 0.424 0.019 0.846
H4 H 0.429 0.518 0.346
H5 H 0.436 0.153 0.982
H6 H 0.444 0.651 0.482
H7 H 0.450 0.693 0.157
H8 H 0.454 0.192 0.655
H9 H 0.456 0.849 0.308
H10 H 0.458 0.347 0.808
H11 H 0.639 0.436 0.061
H12 H 0.644 0.937 0.562
H13 H 0.919 0.067 0.294
H14 H 0.923 0.569 0.794
H15 H 0.942 0.706 0.926
H16 H 0.944 0.204 0.426
H17 H 0.950 0.377 0.968
H18 H 0.955 0.531 0.122
H19 H 0.955 0.879 0.469
H20 H 0.960 0.033 0.622
C1 C 0.363 0.796 0.206
C2 C 0.368 0.294 0.705
C3 C 0.863 0.428 0.070
C4 C 0.868 0.930 0.571
O1 O 0.247 0.321 0.181
O2 O 0.253 0.822 0.682
O3 O 0.288 0.814 0.962
O4 O 0.292 0.032 0.172
O5 O 0.298 0.317 0.463
O6 O 0.298 0.533 0.676
O7 O 0.308 0.091 0.910
O8 O 0.314 0.590 0.410
O9 O 0.748 0.904 0.096
O10 O 0.756 0.406 0.599
O11 O 0.783 0.188 0.099
O12 O 0.792 0.689 0.595
O13 O 0.796 0.404 0.311
O14 O 0.797 0.902 0.810
O15 O 0.810 0.635 0.865
O16 O 0.811 0.133 0.368
```

=====

## x
A plane-wave DFT calculation with PBE+U was carried out for a relaxed structure of FePH5CO4.

Cell and atoms, written as CIF:
```
data_FePH5CO4
_chemical_formula_sum 'Fe4 P4 H20 C4 O16'
_cell_length_a 4.844
_cell_length_b 5.800
_cell_length_c 18.021
_cell_angle_alpha 89.89
_cell_angle_beta 89.64
_cell_angle_gamma 89.52
_space_group_name_H-M_alt 'P 1'
_space_group_IT_number 1
loop_
_space_group_symop_operation_xyz
'x,y,z'
loop_
_atom_site_label
_atom_site_type_symbol
_atom_site_fract_x
_atom_site_fract_y
_atom_site_fract_z
Fe1 Fe 0.000 0.000 0.000
Fe2 Fe 0.002 0.003 0.500
Fe3 Fe 0.501 0.504 0.525
Fe4 Fe 0.503 0.503 0.024
P1 P 0.436 0.004 0.607
P2 P 0.439 0.005 0.106
P3 P 0.938 0.499 0.917
P4 P 0.939 0.503 0.417
H1 H 0.135 0.002 0.713
H2 H 0.140 0.003 0.212
H3 H 0.414 0.139 0.914
H4 H 0.417 0.866 0.914
H5 H 0.425 0.866 0.412
H6 H 0.426 0.137 0.412
H7 H 0.448 0.155 0.731
H8 H 0.449 0.847 0.731
H9 H 0.452 0.155 0.230
H10 H 0.453 0.847 0.230
H11 H 0.637 0.504 0.812
H12 H 0.638 0.503 0.312
H13 H 0.919 0.639 0.112
H14 H 0.923 0.637 0.613
H15 H 0.924 0.367 0.612
H16 H 0.931 0.369 0.112
H17 H 0.949 0.657 0.793
H18 H 0.950 0.656 0.293
H19 H 0.951 0.349 0.793
H20 H 0.952 0.348 0.293
C1 C 0.360 0.001 0.705
C2 C 0.365 0.002 0.204
C3 C 0.862 0.503 0.820
C4 C 0.863 0.502 0.320
O1 O 0.251 0.501 0.428
O2 O 0.251 0.502 0.927
O3 O 0.290 0.219 0.572
O4 O 0.291 0.796 0.069
O5 O 0.292 0.790 0.571
O6 O 0.294 0.002 0.912
O7 O 0.297 0.225 0.072
O8 O 0.304 0.003 0.408
O9 O 0.749 0.001 0.596
O10 O 0.752 0.001 0.094
O11 O 0.789 0.711 0.955
O12 O 0.792 0.717 0.453
O13 O 0.794 0.288 0.453
O14 O 0.797 0.283 0.952
O15 O 0.802 0.503 0.616
O16 O 0.803 0.501 0.117
```

=====

Bottom line: w, by a margin of 0.043 eV/atom.